Record 1
# Al2O3

A relaxed structure of Al2O3 (PBE, Materials Project).

## Properties
- space-group type = P1 (1)
- calculated density (kg/m³) = 2909
- size of the total moment (μB/f.u.) = 0.00
- energy of formation (eV per atom) = -3.208
- total energy (eV per atom) = -7.263

a b c (Å): 10.1459 10.9954 10.4361
angles (deg): 88.88 89.86 89.29
Atoms (fractional coordinates):
O: 0.2884 0.6584 0.0349
O: 0.4124 0.8973 0.2367
O: 0.5047 0.9665 0.6841
O: 0.3860 0.4126 0.0236
O: 0.0625 0.1734 0.8859
O: 0.1780 0.0603 0.2961
O: 0.5850 0.2801 0.0268
O: 0.4549 0.7453 0.7954
O: 0.9959 0.8452 0.6018
O: 0.6976 0.4905 0.7231
O: 0.3208 0.4048 0.4840
O: 0.3856 0.5271 0.7986
O: 0.6089 0.0005 0.3796
O: 0.9559 0.3381 0.7535
O: 0.1529 0.2729 0.3634
O: 0.6206 0.5737 0.9324
O: 0.5235 0.3266 0.5965
O: 0.9116 0.5857 0.8471
O: 0.1535 0.4831 0.9423
O: 0.2800 0.3283 0.7358
O: 0.3513 0.1362 0.5222
O: 0.9980 0.9008 0.1808
O: 0.5434 0.8579 0.9959
O: 0.7636 0.0371 0.1016
O: 0.7182 0.8230 0.2229
O: 0.2398 0.9593 0.0543
O: 0.8829 0.3910 0.0322
O: 0.8181 0.7739 0.0126
O: 0.8532 0.4866 0.2795
O: 0.4987 0.8223 0.4876
O: 0.0838 0.1137 0.5705
O: 0.9427 0.6150 0.6059
O: 0.2018 0.8063 0.3404
O: 0.7018 0.7427 0.7647
O: 0.1586 0.7200 0.8183
O: 0.2230 0.6939 0.5456
O: 0.4351 0.2619 0.2876
O: 0.9423 0.7091 0.3483
O: 0.7709 0.2058 0.8775
O: 0.9040 0.0741 0.7030
O: 0.8847 0.0476 0.3861
O: 0.2617 0.2079 0.0736
O: 0.7666 0.9004 0.5768
O: 0.6041 0.4756 0.1691
O: 0.7237 0.2439 0.3057
O: 0.0006 0.6305 0.0972
O: 0.6816 0.1205 0.5766
O: 0.3204 0.5153 0.2591
O: 0.5024 0.5712 0.5984
O: 0.1254 0.4091 0.1790
O: 0.2944 0.0635 0.8209
O: 0.8264 0.4237 0.5312
O: 0.4960 0.0848 0.0640
O: 0.9921 0.1684 0.1376
O: 0.6680 0.0056 0.8604
O: 0.0787 0.5285 0.4089
O: 0.2591 0.9103 0.6018
O: 0.5983 0.4631 0.4015
O: 0.5172 0.6820 0.3169
O: 0.7372 0.6645 0.4937
Al: 0.4896 0.5314 0.2799
Al: 0.2879 0.4049 0.8762
Al: 0.7422 0.1070 0.7437
Al: 0.8910 0.5565 0.4373
Al: 0.7243 0.1205 0.4043
Al: 0.1770 0.9207 0.2155
Al: 0.8327 0.7505 0.6079
Al: 0.5680 0.4390 0.0128
Al: 0.9099 0.0449 0.2065
Al: 0.1371 0.2254 0.1999
Al: 0.6590 0.1320 0.9934
Al: 0.3459 0.0377 0.6677
Al: 0.6070 0.9624 0.5469
Al: 0.5692 0.6653 0.4771
Al: 0.9217 0.2791 0.9237
Al: 0.2048 0.0987 0.9556
Al: 0.1924 0.1353 0.4427
Al: 0.9274 0.9943 0.5548
Al: 0.0302 0.1887 0.7144
Al: 0.7106 0.3971 0.2828
Al: 0.1035 0.6871 0.4132
Al: 0.1472 0.7906 0.6626
Al: 0.7701 0.6599 0.9055
Al: 0.4169 0.9438 0.0777
Al: 0.8792 0.4814 0.6977
Al: 0.4307 0.2742 0.4559
Al: 0.4363 0.2308 0.1220
Al: 0.2015 0.4281 0.3583
Al: 0.0589 0.6203 0.9290
Al: 0.7045 0.8876 0.0638
Al: 0.5634 0.6055 0.7632
Al: 0.5682 0.8714 0.8176
Al: 0.3188 0.8177 0.4718
Al: 0.3818 0.4303 0.6406
Al: 0.3241 0.6734 0.8730
Al: 0.9630 0.4730 0.1473
Al: 0.2533 0.5110 0.0992
Al: 0.9006 0.7597 0.1866
Al: 0.6527 0.4342 0.5676
Al: 0.5633 0.8526 0.3065

=====

Record 2
# BaSi2O5

A relaxed structure of BaSi2O5 (PBE, Materials Project).

## Properties
- space-group type = Pnma (62)
- calculated density (kg/m³) = 3608
- energy of formation (eV per atom) = -3.361
- energy relative to the lowest polymorph listed for this composition (eV/atom) = 0.0000
- total energy (eV per atom) = -7.620

a b c (Å): 4.7081 7.7919 13.7244
angles (deg): 90.00 90.00 90.00
Atoms (fractional coordinates):
O: 0.7356 0.5379 0.0866
O: 0.8511 0.4488 0.7813
O: 0.4421 0.7500 0.3379
O: 0.7644 0.9621 0.5866
O: 0.0579 0.7500 0.8379
O: 0.7644 0.5379 0.5866
O: 0.2356 0.4621 0.4134
O: 0.2644 0.0379 0.9134
O: 0.6489 0.0512 0.2813
O: 0.3511 0.9488 0.7187
O: 0.3511 0.5512 0.7187
O: 0.7356 0.9621 0.0866
O: 0.5579 0.2500 0.6621
O: 0.2644 0.4621 0.9134
O: 0.8511 0.0512 0.7813
O: 0.1489 0.9488 0.2187
O: 0.1489 0.5512 0.2187
O: 0.6489 0.4488 0.2813
O: 0.2356 0.0379 0.4134
O: 0.9421 0.2500 0.1621
Si: 0.8551 0.0478 0.1837
Si: 0.3551 0.9522 0.3163
Si: 0.1449 0.9522 0.8163
Si: 0.6449 0.4522 0.6837
Si: 0.6449 0.0478 0.6837
Si: 0.1449 0.5478 0.8163
Si: 0.3551 0.5478 0.3163
Si: 0.8551 0.4522 0.1837
Ba: 0.2843 0.7500 0.0441
Ba: 0.7843 0.2500 0.4559
Ba: 0.2157 0.7500 0.5441
Ba: 0.7157 0.2500 0.9559

=====

Record 3
# AlSeBr7

A relaxed structure of AlSeBr7 (PBE, Materials Project).

## Properties
- space-group type = Pc (7)
- calculated density (kg/m³) = 3080
- energy of formation (eV per atom) = -1.030
- total energy (eV per atom) = -2.692

a b c (Å): 6.8214 7.1242 15.2987
angles (deg): 74.78 90.00 90.00
Atoms (fractional coordinates):
Br: 0.8711 0.6401 0.5299
Br: 0.6019 0.2428 0.0362
Br: 0.8788 0.0074 0.6630
Br: 0.6008 0.8945 0.8977
Br: 0.3992 0.8945 0.3977
Br: 0.1289 0.6401 0.0299
Br: 0.3981 0.2428 0.5362
Br: 0.1796 0.2021 0.9008
Br: 0.1212 0.0074 0.1630
Br: 0.8703 0.4755 0.7898
Br: 0.8204 0.2021 0.4008
Br: 0.1297 0.4755 0.2898
Br: 0.3368 0.6770 0.6660
Br: 0.6632 0.6770 0.1660
Al: 0.9983 0.6987 0.6628
Al: 0.0017 0.6987 0.1628
Se: 0.4026 0.9971 0.0036
Se: 0.5974 0.9971 0.5036